[1]
# LiVP2O7

A relaxed LiVP2O7 crystal (GGA+U, the Materials Project).

Output
Its space group is C2. For the formation energy, the calculation gives -2.71 eV/atom. The energy is -319.10 eV per cell. The calculation puts the largest piezoelectric modulus at 11.5 C/m2. Its spin magnetization is 2.00 μB per formula unit.

a = 6.4762 Å, b = 6.4762 Å, c = 12.3987 Å
α = 104.15°, β = 104.15°, γ = 79.62°
With the nearest neighbours (Å) after each atom.
Sites, in units of the cell vectors:
Li  0.1251  0.1251  0.3754  4 O 2.12-2.14
Li  0.3758  0.3745  0.1253  4 O 2.12-2.14
Li  0.6255  0.6242  0.8747  4 O 2.12-2.14
Li  0.8749  0.8749  0.6246  4 O 2.12-2.14
V  0.0003  0.2492  0.8752  6 O 2.01-2.07
V  0.2503  0.4989  0.6257  6 O 2.01-2.07
V  0.5011  0.7497  0.3743  6 O 2.01-2.07
V  0.7508  0.9997  0.1248  6 O 2.01-2.07
P  0.0429  0.6202  0.3763  4 O 1.52-1.62
P  0.1289  0.7074  0.8739  4 O 1.52-1.62
P  0.2926  0.8711  0.1261  4 O 1.52-1.62
P  0.3798  0.9571  0.6237  4 O 1.52-1.62
P  0.5423  0.1214  0.8761  4 O 1.52-1.62
P  0.6288  0.2079  0.3740  4 O 1.51-1.62
P  0.7921  0.3712  0.6260  4 O 1.51-1.62
P  0.8786  0.4577  0.1239  4 O 1.52-1.62
O  0.0242  0.9285  0.8552  1 P 1.52
O  0.0290  0.4712  0.2501  2 P 1.62
O  0.0445  0.3555  0.0490  1 P 1.54
O  0.0715  0.9758  0.1448  1 P 1.52
O  0.1438  0.4539  0.4508  1 P 1.54
O  0.1835  0.7923  0.3825  1 P 1.54
O  0.2077  0.8165  0.6175  1 P 1.54
O  0.2744  0.1784  0.6052  1 P 1.52
O  0.2789  0.7211  0.0000  2 P 1.62
O  0.2950  0.6056  0.7992  1 P 1.54
O  0.3212  0.2260  0.8946  1 P 1.52
O  0.3944  0.7050  0.2008  1 P 1.54
O  0.4326  0.0434  0.1321  1 P 1.54
O  0.4563  0.0684  0.3683  1 P 1.54
O  0.5242  0.4289  0.3555  1 P 1.51
O  0.5288  0.9710  0.7499  2 P 1.62
O  0.5461  0.8562  0.5492  1 P 1.54
O  0.5711  0.4758  0.6445  1 P 1.51
O  0.6445  0.9555  0.9510  1 P 1.54
O  0.6820  0.2938  0.8818  1 P 1.54
O  0.7062  0.3180  0.1182  1 P 1.54
O  0.7740  0.6788  0.1054  1 P 1.52
O  0.7791  0.2209  0.5000  2 P 1.62
O  0.7948  0.1053  0.2992  1 P 1.54
O  0.8216  0.7256  0.3948  1 P 1.52
O  0.8947  0.2052  0.7008  1 P 1.54
O  0.9316  0.5437  0.6317  1 P 1.54
O  0.9566  0.5674  0.8679  1 P 1.54

---

[2]
# Li4Zr8V3P9O48

A relaxed Li4Zr8V3P9O48 crystal (GGA+U, the Materials Project).

Output
Its space group is P1. For the formation energy, the calculation gives -3.09 eV/atom. The energy is -574.17 eV per cell. Its spin magnetization is 0.00 μB per formula unit.

a = 9.0637 Å, b = 9.1006 Å, c = 12.8922 Å
α = 90.41°, β = 91.52°, γ = 90.24°
With the nearest neighbours (Å) after each atom.
Sites, in units of the cell vectors:
Li  0.0000  0.0000  0.0000  4 O 2.00-2.08
Li  0.0656  0.4993  0.1410  4 O 2.04-2.07
Li  0.4814  0.9524  0.4964  4 O 2.00-2.09
Li  0.5670  0.4501  0.6392  4 O 2.01-2.06
Zr  0.0175  0.1800  0.2110  6 O 2.05-2.21
Zr  0.0324  0.2402  0.7000  6 O 2.05-2.15
Zr  0.0384  0.7537  0.4333  6 O 2.08-2.13
Zr  0.0519  0.6774  0.9340  6 O 2.03-2.16
Zr  0.5165  0.7696  0.7025  6 O 2.03-2.16
Zr  0.5287  0.7049  0.2060  6 O 2.05-2.14
Zr  0.5404  0.2052  0.9302  6 O 2.06-2.13
Zr  0.5437  0.2706  0.4334  6 O 2.01-2.16
V  0.3797  0.3420  0.1698  4 O 1.71-1.75
V  0.6870  0.8406  0.9659  4 O 1.71-1.75
V  0.8828  0.6075  0.6699  4 O 1.72-1.75
P  0.1691  0.8244  0.1765  4 O 1.53-1.57
P  0.1845  0.1094  0.4631  4 O 1.54-1.56
P  0.2503  0.9708  0.8300  4 O 1.53-1.56
P  0.3175  0.4757  0.8056  4 O 1.53-1.56
P  0.3947  0.6253  0.4624  4 O 1.53-1.57
P  0.6672  0.1253  0.6724  4 O 1.53-1.57
P  0.7464  0.9796  0.3327  4 O 1.53-1.56
P  0.8149  0.4754  0.3106  4 O 1.54-1.57
P  0.9030  0.3195  0.9620  4 O 1.54-1.57
O  0.0964  0.9753  0.1468  1 P 1.57
O  0.1062  0.1937  0.5493  1 P 1.54
O  0.1090  0.7734  0.2802  1 P 1.53
O  0.1225  0.7052  0.0937  1 P 1.56
O  0.1246  0.1573  0.3540  1 P 1.56
O  0.1397  0.8916  0.9021  1 P 1.56
O  0.1607  0.0734  0.7585  1 P 1.54
O  0.1637  0.9416  0.4740  1 P 1.55
O  0.1886  0.3136  0.1594  1 V 1.75
O  0.2049  0.3913  0.7366  1 P 1.54
O  0.2252  0.6156  0.4592  1 P 1.54
O  0.2402  0.5888  0.8753  1 P 1.54
O  0.3268  0.8572  0.7599  1 P 1.55
O  0.3383  0.8390  0.1805  1 P 1.54
O  0.3544  0.1381  0.4723  1 P 1.56
O  0.3646  0.0553  0.8970  1 P 1.53
O  0.4035  0.5260  0.1490  1 V 1.71
O  0.4067  0.3728  0.8768  1 P 1.53
O  0.4286  0.5563  0.7345  1 P 1.56
O  0.4393  0.3001  0.2953  1 V 1.74
O  0.4436  0.7464  0.5430  1 P 1.56
O  0.4545  0.6707  0.3572  1 P 1.53
O  0.4649  0.4754  0.4960  1 P 1.57
O  0.4719  0.2378  0.0811  1 V 1.72
O  0.5924  0.7377  0.0543  1 V 1.72
O  0.5927  0.9758  0.6400  1 P 1.57
O  0.6136  0.1729  0.7788  1 P 1.53
O  0.6144  0.2450  0.5929  1 P 1.57
O  0.6296  0.7977  0.8389  1 V 1.75
O  0.6322  0.0583  0.4027  1 P 1.56
O  0.6600  0.8750  0.2595  1 P 1.53
O  0.6621  0.0246  0.9860  1 V 1.71
O  0.6919  0.6334  0.6542  1 V 1.75
O  0.7040  0.5569  0.2397  1 P 1.54
O  0.7335  0.3345  0.9579  1 P 1.54
O  0.7333  0.3652  0.3803  1 P 1.55
O  0.8249  0.0934  0.2646  1 P 1.55
O  0.8366  0.1138  0.6722  1 P 1.54
O  0.8590  0.8972  0.4013  1 P 1.53
O  0.8772  0.8130  0.9822  1 V 1.75
O  0.9038  0.5816  0.3815  1 P 1.54
O  0.9127  0.4240  0.6470  1 V 1.72
O  0.9269  0.3922  0.2411  1 P 1.57
O  0.9380  0.6485  0.7973  1 V 1.74
O  0.9478  0.2034  0.0467  1 P 1.57
O  0.9608  0.2702  0.8566  1 P 1.54
O  0.9756  0.4709  0.9945  1 P 1.57
O  0.9767  0.7175  0.5849  1 V 1.73

---

[3]
# LiP2WO8

A relaxed LiP2WO8 crystal (GGA+U, the Materials Project).

Output
Its space group is P2_1/c. For the formation energy, the calculation gives -2.50 eV/atom. The energy is -341.39 eV per cell. The relative energy among the computed polymorphs is 14 meV per atom. Its spin magnetization is 1.00 μB per formula unit.

a = 4.8956 Å, b = 8.8363 Å, c = 15.6213 Å
α = 90.00°, β = 91.93°, γ = 90.00°
With the nearest neighbours (Å) after each atom.
Sites, in units of the cell vectors:
Li  0.0385  0.1947  0.0698  2 O 1.90-1.92
Li  0.0385  0.3053  0.5698  2 O 1.90-1.92
Li  0.9615  0.6947  0.4302  2 O 1.90-1.92
Li  0.9615  0.8053  0.9302  2 O 1.90-1.92
P  0.3517  0.1065  0.7665  4 O 1.52-1.61
P  0.3517  0.3935  0.2665  4 O 1.52-1.61
P  0.3906  0.7151  0.5778  4 O 1.49-1.64
P  0.3906  0.7849  0.0778  4 O 1.49-1.64
P  0.6094  0.2151  0.9222  4 O 1.49-1.64
P  0.6094  0.2849  0.4222  4 O 1.49-1.64
P  0.6483  0.6065  0.7335  4 O 1.52-1.61
P  0.6483  0.8935  0.2335  4 O 1.52-1.61
W  0.1233  0.0592  0.3437  1 O 1.77
W  0.1233  0.4408  0.8437  1 O 1.77
W  0.8767  0.5592  0.1563  1 O 1.77
W  0.8767  0.9408  0.6563  1 O 1.77
O  0.0020  0.5947  0.9042  1 W 1.77, 1 Li 1.92
O  0.0020  0.9053  0.4042  1 W 1.77, 1 Li 1.92
O  0.1013  0.0006  0.7665  1 P 1.54
O  0.1013  0.4994  0.2665  1 P 1.54
O  0.1785  0.7077  0.1335  1 P 1.54
O  0.1785  0.7923  0.6335  1 P 1.54
O  0.2710  0.2263  0.2580  1 P 1.53
O  0.2710  0.2737  0.7580  1 P 1.53
O  0.2802  0.6438  0.4972  1 P 1.49
O  0.2802  0.8562  0.9972  1 P 1.49
O  0.3596  0.1786  0.4340  1 P 1.56
O  0.3596  0.3214  0.9340  1 P 1.56
O  0.4482  0.5664  0.8025  1 P 1.52
O  0.4482  0.9336  0.3025  1 P 1.52
O  0.4923  0.0791  0.8598  2 P 1.61-1.64
O  0.4923  0.4209  0.3598  2 P 1.61-1.64
O  0.5077  0.5791  0.6402  2 P 1.61-1.64
O  0.5077  0.9209  0.1402  2 P 1.61-1.64
O  0.5518  0.0664  0.6975  1 P 1.52
O  0.5518  0.4336  0.1975  1 P 1.52
O  0.6404  0.6786  0.0660  1 P 1.56
O  0.6404  0.8214  0.5660  1 P 1.56
O  0.7198  0.1438  0.0028  1 P 1.49
O  0.7198  0.3562  0.5028  1 P 1.49
O  0.7290  0.7263  0.2420  1 P 1.53
O  0.7290  0.7737  0.7420  1 P 1.53
O  0.8215  0.2077  0.3665  1 P 1.54
O  0.8215  0.2923  0.8665  1 P 1.54
O  0.8987  0.5006  0.7335  1 P 1.54
O  0.8987  0.9994  0.2335  1 P 1.54
O  0.9980  0.0947  0.5958  1 W 1.77, 1 Li 1.92
O  0.9980  0.4053  0.0958  1 W 1.77, 1 Li 1.92

---

[4]
# LiP4WO12

A relaxed LiP4WO12 crystal (GGA+U, the Materials Project).

Output
Its space group is C2/c. For the formation energy, the calculation gives -2.49 eV/atom. The energy is -256.13 eV per cell. The relative energy among the computed polymorphs is 48 meV per atom. Its spin magnetization is 3.00 μB per formula unit.

a = 7.8609 Å, b = 7.8609 Å, c = 9.7031 Å
α = 94.50°, β = 94.50°, γ = 124.38°
With the nearest neighbours (Å) after each atom.
Sites, in units of the cell vectors:
Li  0.0394  0.9606  0.7500  2 O 1.84
Li  0.9606  0.0394  0.2500  2 O 1.84
P  0.2130  0.2961  0.5416  4 O 1.47-1.63
P  0.2659  0.5659  0.9883  4 O 1.50-1.63
P  0.2961  0.2130  0.0416  4 O 1.47-1.63
P  0.4341  0.7341  0.5117  4 O 1.50-1.63
P  0.5659  0.2659  0.4883  4 O 1.50-1.63
P  0.7039  0.7870  0.9584  4 O 1.47-1.63
P  0.7341  0.4341  0.0117  4 O 1.50-1.63
P  0.7870  0.7039  0.4584  4 O 1.47-1.63
W  0.1825  0.8175  0.2500  6 O 2.15-2.22
W  0.8175  0.1825  0.7500  6 O 2.15-2.22
O  0.0593  0.1866  0.6426  1 P 1.52
O  0.0808  0.4681  0.8760  1 P 1.50
O  0.1325  0.2571  0.3918  1 P 1.47
O  0.1866  0.0593  0.1426  1 P 1.52
O  0.2480  0.3876  0.0734  2 P 1.63
O  0.2518  0.6772  0.4069  1 P 1.50
O  0.2571  0.1325  0.8918  1 P 1.47
O  0.3228  0.7482  0.0931  1 P 1.50
O  0.3538  0.5425  0.5980  2 P 1.60-1.61
O  0.3876  0.2480  0.5734  2 P 1.63
O  0.4575  0.6462  0.9020  2 P 1.60-1.61
O  0.4681  0.0808  0.3760  1 P 1.50
O  0.5319  0.9192  0.6240  1 P 1.50
O  0.5425  0.3538  0.0980  2 P 1.60-1.61
O  0.6124  0.7520  0.4266  2 P 1.63
O  0.6462  0.4575  0.4020  2 P 1.60-1.61
O  0.6772  0.2518  0.9069  1 P 1.50
O  0.7429  0.8675  0.1082  1 P 1.47
O  0.7482  0.3228  0.5931  1 P 1.50
O  0.7520  0.6124  0.9266  2 P 1.63
O  0.8134  0.9407  0.8574  1 P 1.52
O  0.8675  0.7429  0.6082  1 P 1.47
O  0.9192  0.5319  0.1240  1 P 1.50
O  0.9407  0.8134  0.3574  1 P 1.52